VASP calculation (PBE) on a relaxed Mg3Si4 crystal. Values from VASP.

```
&SYSTEM
  ibrav = 0, nat = 14, ntyp = 2
/
ATOMIC_SPECIES
Mg 24.30 Mg.upf
Si 28.09 Si.upf
ATOMIC_POSITIONS angstrom
Mg 0.000 0.000 0.000
Mg -1.259 -1.049 4.679
Mg 0.478 4.563 0.140
Mg 1.871 -0.814 3.005
Mg 1.782 2.610 2.411
Mg 2.196 -0.272 6.442
Si -0.866 2.822 1.809
Si -1.738 3.453 3.974
Si 0.927 1.306 4.621
Si 2.596 0.667 0.630
Si 0.423 3.676 5.124
Si 4.379 0.579 2.297
Si 3.423 1.255 4.524
Si 3.276 4.838 2.026
CELL_PARAMETERS angstrom
6.080 0.000 0.000
-2.109 6.527 0.000
-1.220 -3.408 6.653
```

Values from the calculation:
E above lowest polymorph	0.367	eV/f.u.
formation enthalpy at 0 K	0.15	eV per atom
SG	P1
total DFT energy (no corrections)	-3.68	eV/atom